Record 1
Density functional theory data (PBE) for a geometry-optimized NaAcAu2 structure.

```
data_NaAcAu2
_chemical_formula_sum 'Na4 Ac4 Au8'
_cell_length_a 7.517
_cell_length_b 7.517
_cell_length_c 7.517
_cell_angle_alpha 90.00
_cell_angle_beta 90.00
_cell_angle_gamma 90.00
_space_group_name_H-M_alt 'F m -3 m'
_space_group_IT_number 225
_space_group_name_Hall '-F 4 2 3'
loop_
_atom_site_label
_atom_site_type_symbol
_atom_site_fract_x
_atom_site_fract_y
_atom_site_fract_z
Na1 Na 0.000 0.000 0.000
Ac1 Ac 0.000 0.000 0.500
Au1 Au 0.250 0.250 0.250
```



Record 2
# Pr3CuSiS7, optimized geometry, DFT PBE
data_Pr3CuSiS7
_chemical_formula_sum 'Pr6 Cu2 Si2 S14'
_cell_length_a 10.2820
_cell_length_b 10.2820
_cell_length_c 5.7982
_cell_angle_alpha 90.00
_cell_angle_beta 90.00
_cell_angle_gamma 120.00
_space_group_name_H-M_alt 'P 63'
_space_group_IT_number 173
_space_group_name_Hall 'P 6c'
loop_
_atom_site_label
_atom_site_type_symbol
_atom_site_fract_x
_atom_site_fract_y
_atom_site_fract_z
Pr1 Pr 0.1238 0.3567 0.0000
Cu1 Cu 0.0000 0.0000 0.4847
Si1 Si 0.3333 0.6667 0.5854
S1 S 0.0858 0.2502 0.4907
S2 S 0.1138 0.5894 0.7276
S3 S 0.3333 0.6667 0.2210
# **Energy with MP2020 corrections**: -6.246 eV/atom



Record 3
# Na3LiY3P3CO15F2, optimized geometry, DFT PBE
data_Na3LiY3P3CO15F2
_chemical_formula_sum 'Na12 Li4 Y12 P12 C4 O60 F8'
_cell_length_a 11.247
_cell_length_b 11.247
_cell_length_c 11.250
_cell_angle_alpha 90.00
_cell_angle_beta 90.00
_cell_angle_gamma 90.00
_space_group_name_H-M_alt 'P -4 2 m'
_space_group_IT_number 111
_space_group_name_Hall 'P -4 2'
loop_
_atom_site_label
_atom_site_type_symbol
_atom_site_fract_x
_atom_site_fract_y
_atom_site_fract_z
Na1 Na 0.010 0.334 0.334
Na2 Na 0.335 0.335 0.010
Li1 Li 0.198 0.198 0.802
Y1 Y 0.000 0.000 0.316
Y2 Y 0.000 0.316 0.000
Y3 Y 0.255 0.500 0.500
Y4 Y 0.500 0.500 0.254
P1 P 0.186 0.186 0.515
P2 P 0.186 0.485 0.814
C1 C 0.117 0.117 0.117
O1 O 0.023 0.164 0.164
O2 O 0.116 0.419 0.117
O3 O 0.117 0.117 0.419
O4 O 0.145 0.145 0.642
O5 O 0.145 0.358 0.855
O6 O 0.155 0.320 0.500
O7 O 0.155 0.499 0.681
O8 O 0.164 0.164 0.023
O9 O 0.319 0.500 0.155
F1 F 0.383 0.383 0.617
F2 F 0.389 0.389 0.389
# **Energy with MP2020 corrections**: -7.731 eV/atom



Record 4
# K2PrNb5O15, optimized geometry, DFT PBE
data_K2PrNb5O15
_chemical_formula_sum 'K4 Pr2 Nb10 O30'
_cell_length_a 12.794
_cell_length_b 12.794
_cell_length_c 3.969
_cell_angle_alpha 90.00
_cell_angle_beta 90.00
_cell_angle_gamma 90.00
_space_group_name_H-M_alt 'P 4/m b m'
_space_group_IT_number 127
_space_group_name_Hall '-P 4 2ab'
loop_
_atom_site_label
_atom_site_type_symbol
_atom_site_fract_x
_atom_site_fract_y
_atom_site_fract_z
K1 K 0.170 0.330 0.000
Pr1 Pr 0.000 0.000 0.000
Nb1 Nb 0.000 0.500 0.500
Nb2 Nb 0.077 0.787 0.500
O1 O 0.000 0.500 0.000
O2 O 0.001 0.343 0.500
O3 O 0.059 0.132 0.500
O4 O 0.080 0.809 0.000
O5 O 0.218 0.718 0.500
# **Energy with MP2020 corrections**: -8.811 eV/atom



Record 5
# RbMgAlF6, optimized geometry, DFT PBE
data_RbMgAlF6
_chemical_formula_sum 'Rb4 Mg4 Al4 F24'
_cell_length_a 7.111
_cell_length_b 7.221
_cell_length_c 10.108
_cell_angle_alpha 90.00
_cell_angle_beta 90.00
_cell_angle_gamma 90.00
_space_group_name_H-M_alt 'I m m a'
_space_group_IT_number 74
_space_group_name_Hall '-I 2b 2'
loop_
_atom_site_label
_atom_site_type_symbol
_atom_site_fract_x
_atom_site_fract_y
_atom_site_fract_z
Rb1 Rb 0.000 0.250 0.131
Mg1 Mg 0.000 0.000 0.500
Al1 Al 0.250 0.250 0.750
F1 F 0.000 0.250 0.419
F2 F 0.000 0.250 0.803
F3 F 0.205 0.072 0.628
# **Energy with MP2020 corrections**: -5.707 eV/atom



Record 6
# Ba3Si4, optimized geometry, DFT PBE
data_Ba3Si4
_chemical_formula_sum 'Ba12 Si16'
_cell_length_a 8.582
_cell_length_b 8.582
_cell_length_c 11.964
_cell_angle_alpha 90.00
_cell_angle_beta 90.00
_cell_angle_gamma 90.00
_space_group_name_H-M_alt 'P 42/m n m'
_space_group_IT_number 136
_space_group_name_Hall '-P 4n 2n'
loop_
_atom_site_label
_atom_site_type_symbol
_atom_site_fract_x
_atom_site_fract_y
_atom_site_fract_z
Ba1 Ba 0.000 0.000 0.169
Ba2 Ba 0.000 0.500 0.250
Ba3 Ba 0.164 0.164 0.500
Si1 Si 0.101 0.301 0.000
Si2 Si 0.200 0.800 0.356
# **Energy with MP2020 corrections**: -4.290 eV/atom



Record 7
# Hg3Se2Cl2, optimized geometry, DFT PBE
data_Hg3Se2Cl2
_chemical_formula_sum 'Hg12 Se8 Cl8'
_cell_length_a 9.373
_cell_length_b 9.373
_cell_length_c 9.373
_cell_angle_alpha 90.00
_cell_angle_beta 90.00
_cell_angle_gamma 90.00
_space_group_name_H-M_alt 'I 21 3'
_space_group_IT_number 199
_space_group_name_Hall 'I 2b 2c 3'
loop_
_atom_site_label
_atom_site_type_symbol
_atom_site_fract_x
_atom_site_fract_y
_atom_site_fract_z
Hg1 Hg 0.000 0.250 0.940
Se1 Se 0.020 0.480 0.520
Cl1 Cl 0.243 0.243 0.243
# **Maximum piezoelectric response**: 0.36 C/m²
# **Energy with MP2020 corrections**: -2.263 eV/atom



Record 8
# MoWSe4, optimized geometry, DFT PBE
data_MoWSe4
_chemical_formula_sum 'Mo2 W2 Se8'
_cell_length_a 3.3229
_cell_length_b 3.3229
_cell_length_c 37.8494
_cell_angle_alpha 90.00
_cell_angle_beta 90.00
_cell_angle_gamma 120.00
_space_group_name_H-M_alt 'P 3 m 1'
_space_group_IT_number 156
_space_group_name_Hall 'P 3 -2"'
loop_
_atom_site_label
_atom_site_type_symbol
_atom_site_fract_x
_atom_site_fract_y
_atom_site_fract_z
Mo1 Mo 0.0000 0.0000 0.0000
Mo2 Mo 0.3333 0.6667 0.1879
W1 W 0.0000 0.0000 0.3757
W2 W 0.3333 0.6667 0.5636
Se1 Se 0.0000 0.0000 0.1436
Se2 Se 0.0000 0.0000 0.2322
Se3 Se 0.0000 0.0000 0.5191
Se4 Se 0.0000 0.0000 0.6081
Se5 Se 0.3333 0.6667 0.0443
Se6 Se 0.3333 0.6667 0.3312
Se7 Se 0.3333 0.6667 0.4202
Se8 Se 0.3333 0.6667 0.9557
# **Energy above the lowest structure with this stoichiometry**: 125.2 meV/atom
# **Energy with MP2020 corrections**: -7.227 eV/atom



Record 9
# Na7Au5S6, optimized geometry, DFT PBE
data_Na7Au5S6
_chemical_formula_sum 'Na28 Au20 S24'
_cell_length_a 10.627
_cell_length_b 7.145
_cell_length_c 22.670
_cell_angle_alpha 90.00
_cell_angle_beta 90.00
_cell_angle_gamma 90.00
_space_group_name_H-M_alt 'P b c n'
_space_group_IT_number 60
_space_group_name_Hall '-P 2n 2ab'
loop_
_atom_site_label
_atom_site_type_symbol
_atom_site_fract_x
_atom_site_fract_y
_atom_site_fract_z
Na1 Na 0.000 0.002 0.250
Na2 Na 0.107 0.376 0.544
Na3 Na 0.123 0.162 0.121
Na4 Na 0.240 0.003 0.409
Au1 Au 0.000 0.000 0.000
Au2 Au 0.002 0.471 0.670
Au3 Au 0.243 0.272 0.248
S1 S 0.122 0.260 0.334
S2 S 0.134 0.212 0.663
S3 S 0.143 0.249 0.999
# **Energy with MP2020 corrections**: -3.716 eV/atom



Record 10
# MgTi2O4, optimized geometry, DFT PBE
data_MgTi2O4
_chemical_formula_sum 'Mg4 Ti8 O16'
_cell_length_a 9.277
_cell_length_b 2.860
_cell_length_c 10.583
_cell_angle_alpha 90.00
_cell_angle_beta 90.00
_cell_angle_gamma 90.00
_space_group_name_H-M_alt 'P n m a'
_space_group_IT_number 62
_space_group_name_Hall '-P 2ac 2n'
loop_
_atom_site_label
_atom_site_type_symbol
_atom_site_fract_x
_atom_site_fract_y
_atom_site_fract_z
Mg1 Mg 0.248 0.250 0.156
Ti1 Ti 0.065 0.250 0.384
Ti2 Ti 0.086 0.250 0.902
O1 O 0.026 0.750 0.781
O2 O 0.097 0.250 0.573
O3 O 0.127 0.750 0.040
O4 O 0.214 0.750 0.314
# **Energy above the lowest structure with this stoichiometry**: 99.5 meV/atom
# **Energy with MP2020 corrections**: -8.434 eV/atom



The following E_tot values (in eV for the cell shown) correspond, in order, to the records above: -57.70, -142.86, -820.93, -384.71, -194.36, -121.26, -58.44, -82.95, -255.50, -225.15.